# 1
A geometry-optimized Cs2YHgF6 structure. Source: Materials Project, functional GGA-PBE. Values from VASP.

```
&SYSTEM
  ibrav = 0, nat = 10, ntyp = 4
/
ATOMIC_SPECIES
Cs 132.91 Cs.upf
F 19.00 F.upf
Y 88.91 Y.upf
Hg 200.59 Hg.upf
CELL_PARAMETERS angstrom
0.000 4.828 4.828
4.828 0.000 4.828
4.828 4.828 0.000
ATOMIC_POSITIONS crystal
Cs 0.250 0.250 0.250
Cs 0.750 0.750 0.750
F 0.773 0.773 0.227
F 0.773 0.227 0.773
F 0.227 0.773 0.227
F 0.227 0.773 0.773
F 0.227 0.227 0.773
F 0.773 0.227 0.227
Y 0.000 0.000 0.000
Hg 0.500 0.500 0.500
```

Calculated values
The value obtained for the total energy is -48.66 eV/cell. For the mass density, the calculation gives 4.9 g/cm3. The calculation puts the size of the total moment at 1.0 μB/cell.



# 2
A geometry-optimized LaNdZn2 structure. Source: Materials Project, functional GGA-PBE. Values from VASP.

```
&SYSTEM
  ibrav = 0, nat = 4, ntyp = 3
/
ATOMIC_SPECIES
La 138.91 La.upf
Nd 144.24 Nd.upf
Zn 65.41 Zn.upf
CELL_PARAMETERS angstrom
0.116 -4.520 -2.715
-4.025 -3.390 0.349
-3.230 -0.690 -4.111
ATOMIC_POSITIONS crystal
La 0.500 0.500 0.500
Nd 0.000 0.000 0.000
Zn 0.250 0.250 0.250
Zn 0.750 0.750 0.750
```

Calculated values
The value obtained for the total energy is -13.48 eV/cell. For the mass density, the calculation gives 6.6 g/cm3.



# 3
A geometry-optimized CaIn4Ge4O14 structure. Source: Materials Project, functional GGA-PBE. Values from VASP.

```
&SYSTEM
  ibrav = 0, nat = 23, ntyp = 4
/
ATOMIC_SPECIES
In 114.82 In.upf
O 16.00 O.upf
Ge 72.64 Ge.upf
Ca 40.08 Ca.upf
CELL_PARAMETERS angstrom
-5.212 -5.213 -0.011
-5.212 -0.011 -5.213
0.000 -5.224 -5.224
ATOMIC_POSITIONS crystal
In 0.502 0.995 0.501
In 0.995 0.502 0.501
In 0.502 0.502 0.501
In 0.502 0.502 0.995
O 0.624 0.624 0.626
O 0.071 0.679 0.070
O 0.911 0.338 0.338
O 0.911 0.338 0.912
O 0.338 0.911 0.912
O 0.679 0.679 0.071
O 0.679 0.071 0.680
O 0.337 0.337 0.913
O 0.338 0.911 0.338
O 0.910 0.910 0.340
O 0.071 0.071 0.679
O 0.071 0.679 0.680
O 0.679 0.071 0.070
O 0.375 0.375 0.375
Ge 0.984 0.548 0.984
Ge 0.984 0.984 0.550
Ge 0.984 0.984 0.983
Ge 0.548 0.984 0.984
Ca 0.123 0.123 0.127
```

Calculated values
The value obtained for the total energy is -131.85 eV/cell. The polymorph energy (0 for the lowest one) is 0.114 eV per atom. For the mass density, the calculation gives 5.9 g/cm3. The calculation puts the size of the total moment at 0.0 μB/cell.



Number 1: ΔE_f -3.14 eV per atom. Number 2: ΔE_f -0.31 eV per atom. Number 3: ΔE_f -1.77 eV per atom.